No. 1
Density functional theory data (r²SCAN) for a relaxed SmGa2Ni3 crystal.

Properties
VASP energy = -15.3088 eV/atom
calculated formation energy = -0.55 eV/atom

Cell lengths 8.773, 8.771, 4.067 Å; angles 90.00, 90.00, 119.98 degrees
Sites, in units of the cell vectors:
Sm (0.667, 0.333, 0.500)
Sm (0.333, 0.667, 0.500)
Sm (0.000, 0.000, 0.000)
Ga (0.273, 0.273, 0.500)
Ga (0.727, 0.000, 0.500)
Ga (0.000, 0.727, 0.500)
Ga (0.524, 0.524, 0.000)
Ga (0.475, 0.000, 0.000)
Ga (0.000, 0.475, 0.000)
Ni (0.798, 0.170, 0.000)
Ni (0.830, 0.628, 0.000)
Ni (0.372, 0.202, 0.000)
Ni (0.170, 0.798, 0.000)
Ni (0.628, 0.830, 0.000)
Ni (0.202, 0.372, 0.000)
Ni (0.712, 0.712, 0.500)
Ni (0.288, 0.000, 0.500)
Ni (0.000, 0.288, 0.500)

=====

No. 2
Density functional theory data (r²SCAN) for a relaxed PrCu2 crystal.

Properties
VASP energy = -17.2057 eV/atom
calculated formation energy = -0.17 eV/atom

Cell lengths 4.311, 5.624, 5.624 Å; angles 80.57, 67.46, 67.46 degrees
Sites, in units of the cell vectors:
Pr (0.532, 0.718, 0.218)
Pr (0.468, 0.282, 0.782)
Cu (0.166, 0.291, 0.377)
Cu (0.834, 0.709, 0.623)
Cu (0.834, 0.123, 0.209)
Cu (0.166, 0.877, 0.791)